The following is a PBE calculation of a geometry-optimized MgO structure, from Materials Project.

Properties
- V: 981.0 Å³/cell
- Magnetization: 0.00 μB per formula unit
- VASP energy: -5.6357 eV/atom
- Formation energy from the elements: -2.7051 eV/atom

Geometry as POSCAR:
```
MgO
1.0
9.366 0.000 0.000
0.115 9.522 0.000
0.081 0.484 11.000
Mg O
40 40
Direct
0.000 0.000 0.000 Mg
0.000 0.215 0.749 Mg
0.015 0.340 0.211 Mg
0.021 0.584 0.677 Mg
0.035 0.660 0.207 Mg
0.093 0.934 0.514 Mg
0.115 0.409 0.921 Mg
0.137 0.944 0.769 Mg
0.142 0.722 0.959 Mg
0.180 0.407 0.425 Mg
0.234 0.138 0.204 Mg
0.262 0.708 0.474 Mg
0.272 0.271 0.675 Mg
0.306 0.115 0.900 Mg
0.313 0.531 0.204 Mg
0.335 0.538 0.783 Mg
0.350 0.871 0.068 Mg
0.356 0.042 0.551 Mg
0.421 0.883 0.759 Mg
0.427 0.241 0.365 Mg
0.468 0.943 0.321 Mg
0.502 0.345 0.922 Mg
0.527 0.635 0.044 Mg
0.529 0.472 0.504 Mg
0.550 0.782 0.553 Mg
0.581 0.079 0.109 Mg
0.610 0.619 0.756 Mg
0.613 0.689 0.295 Mg
0.624 0.106 0.689 Mg
0.640 0.358 0.218 Mg
0.707 0.121 0.427 Mg
0.758 0.829 0.099 Mg
0.768 0.208 0.955 Mg
0.782 0.376 0.742 Mg
0.809 0.765 0.832 Mg
0.814 0.457 0.393 Mg
0.851 0.499 0.030 Mg
0.856 0.774 0.448 Mg
0.948 0.973 0.245 Mg
0.975 0.196 0.517 Mg
0.032 0.141 0.161 O
0.037 0.734 0.535 O
0.056 0.844 0.119 O
0.062 0.505 0.079 O
0.083 0.380 0.646 O
0.100 0.117 0.877 O
0.120 0.092 0.621 O
0.143 0.592 0.822 O
0.179 0.599 0.338 O
0.269 0.330 0.260 O
0.291 0.047 0.374 O
0.291 0.852 0.610 O
0.291 0.888 0.892 O
0.304 0.331 0.853 O
0.314 0.673 0.069 O
0.359 0.331 0.514 O
0.368 0.080 0.073 O
0.402 0.094 0.724 O
0.452 0.756 0.399 O
0.459 0.590 0.635 O
0.501 0.546 0.889 O
0.526 0.533 0.211 O
0.548 0.852 0.154 O
0.572 0.003 0.525 O
0.579 0.121 0.281 O
0.621 0.284 0.059 O
0.624 0.828 0.739 O
0.635 0.249 0.815 O
0.642 0.332 0.413 O
0.706 0.624 0.464 O
0.739 0.674 0.992 O
0.783 0.022 0.038 O
0.813 0.582 0.731 O
0.819 0.202 0.639 O
0.827 0.454 0.210 O
0.827 0.786 0.269 O
0.908 0.348 0.894 O
0.909 0.009 0.427 O
0.986 0.850 0.862 O
0.988 0.341 0.394 O
```